Computed, not measured: crystalline TiCr2Ni3P6O24 at its relaxed geometry at the PBE with a Hubbard U level of DFT.

abc: 8.4003 8.4003 8.4003
angles: 61.90 61.90 61.90
Fractional positions:
1 Ti 0.0000 0.0000 0.0000
2 Cr 0.1477 0.1477 0.1477
3 Cr 0.6487 0.6487 0.6487
4 Ni 0.2915 0.2915 0.2915
5 Ni 0.5056 0.5056 0.5056
6 Ni 0.7900 0.7900 0.7900
7 P 0.0956 0.6954 0.3985
8 P 0.1971 0.5958 0.8944
9 P 0.3985 0.0956 0.6954
10 P 0.5958 0.8944 0.1971
11 P 0.6954 0.3985 0.0956
12 P 0.8944 0.1971 0.5958
13 O 0.0494 0.6384 0.8123
14 O 0.0510 0.2075 0.3966
15 O 0.0813 0.9012 0.2394
16 O 0.1354 0.7582 0.9738
17 O 0.1437 0.5445 0.3207
18 O 0.2075 0.3966 0.0510
19 O 0.2394 0.0813 0.9012
20 O 0.2490 0.6600 0.4719
21 O 0.3207 0.1437 0.5445
22 O 0.3966 0.0510 0.2075
23 O 0.3992 0.5903 0.7479
24 O 0.4719 0.2490 0.6600
25 O 0.5445 0.3207 0.1437
26 O 0.5477 0.8923 0.7152
27 O 0.5903 0.7479 0.3992
28 O 0.6384 0.8123 0.0494
29 O 0.6600 0.4719 0.2490
30 O 0.7152 0.5477 0.8923
31 O 0.7479 0.3992 0.5903
32 O 0.7582 0.9738 0.1354
33 O 0.8123 0.0494 0.6384
34 O 0.8923 0.7152 0.5477
35 O 0.9012 0.2394 0.0813
36 O 0.9738 0.1354 0.7582

Results
Formation enthalpy at 0 K (eV/atom): -2.3610
Uncorrected energy (eV/atom): -7.018
Energy with MP2020 corrections (eV/atom): -7.799



Computed, not measured: crystalline Ti3CrNi2P6O24 at its relaxed geometry at the PBE with a Hubbard U level of DFT.

abc: 8.5041 8.5041 8.5041
angles: 60.83 60.83 60.83
Fractional positions:
1 Ti 0.0000 0.0000 0.0000
2 Ti 0.2124 0.2124 0.2124
3 Ti 0.5010 0.5010 0.5010
4 Cr 0.7159 0.7159 0.7159
5 Ni 0.3558 0.3558 0.3558
6 Ni 0.8570 0.8570 0.8570
7 P 0.1058 0.8112 0.4022
8 P 0.3153 0.6076 0.9012
9 P 0.4022 0.1058 0.8112
10 P 0.6076 0.9012 0.3153
11 P 0.8112 0.4022 0.1058
12 P 0.9012 0.3153 0.6076
13 O 0.0403 0.8551 0.2415
14 O 0.0987 0.2966 0.4450
15 O 0.1161 0.7676 0.9122
16 O 0.1742 0.9708 0.3565
17 O 0.2415 0.0403 0.8551
18 O 0.2688 0.6147 0.4132
19 O 0.2966 0.4450 0.0987
20 O 0.3565 0.1742 0.9708
21 O 0.3586 0.5405 0.7398
22 O 0.4132 0.2688 0.6147
23 O 0.4450 0.0987 0.2966
24 O 0.4716 0.6706 0.8642
25 O 0.5405 0.7398 0.3586
26 O 0.5991 0.9465 0.8005
27 O 0.6147 0.4132 0.2688
28 O 0.6706 0.8642 0.4716
29 O 0.7398 0.3586 0.5405
30 O 0.7676 0.9122 0.1161
31 O 0.8005 0.5991 0.9465
32 O 0.8551 0.2415 0.0403
33 O 0.8642 0.4716 0.6706
34 O 0.9122 0.1161 0.7676
35 O 0.9465 0.8005 0.5991
36 O 0.9708 0.3565 0.1742

Results
Formation enthalpy at 0 K (eV/atom): -2.7347
Uncorrected energy (eV/atom): -7.528
Energy with MP2020 corrections (eV/atom): -8.183



Computed, not measured: crystalline V3Cr2NiP6O24 at its relaxed geometry at the PBE with a Hubbard U level of DFT.

abc: 8.4613 8.4613 8.4613
angles: 61.13 61.13 61.13
Fractional positions:
1 V 0.0000 0.0000 0.0000
2 V 0.2120 0.2120 0.2120
3 V 0.5010 0.5010 0.5010
4 Cr 0.3559 0.3559 0.3559
5 Cr 0.8556 0.8556 0.8556
6 Ni 0.7133 0.7133 0.7133
7 P 0.1068 0.8129 0.4026
8 P 0.3116 0.6090 0.9013
9 P 0.4026 0.1068 0.8129
10 P 0.6090 0.9013 0.3116
11 P 0.8129 0.4026 0.1068
12 P 0.9013 0.3116 0.6090
13 O 0.0400 0.8524 0.2469
14 O 0.1029 0.2872 0.4464
15 O 0.1073 0.7648 0.9151
16 O 0.1840 0.9695 0.3514
17 O 0.2469 0.0400 0.8524
18 O 0.2676 0.6131 0.4175
19 O 0.2872 0.4464 0.1029
20 O 0.3514 0.1840 0.9695
21 O 0.3530 0.5405 0.7433
22 O 0.4175 0.2676 0.6131
23 O 0.4464 0.1029 0.2872
24 O 0.4613 0.6747 0.8725
25 O 0.5405 0.7433 0.3530
26 O 0.6021 0.9525 0.8057
27 O 0.6131 0.4175 0.2676
28 O 0.6747 0.8725 0.4613
29 O 0.7433 0.3530 0.5405
30 O 0.7648 0.9151 0.1073
31 O 0.8057 0.6021 0.9525
32 O 0.8524 0.2469 0.0400
33 O 0.8725 0.4613 0.6747
34 O 0.9151 0.1073 0.7648
35 O 0.9525 0.8057 0.6021
36 O 0.9695 0.3514 0.1840

Results
Formation enthalpy at 0 K (eV/atom): -2.4997
Uncorrected energy (eV/atom): -7.373
Energy with MP2020 corrections (eV/atom): -8.154



Computed, not measured: crystalline V3CrNi2P6O24 at its relaxed geometry at the PBE with a Hubbard U level of DFT.

abc: 8.4669 8.4669 8.4669
angles: 61.03 61.03 61.03
Fractional positions:
1 V 0.0000 0.0000 0.0000
2 V 0.2152 0.2152 0.2152
3 V 0.4995 0.4995 0.4995
4 Cr 0.7167 0.7167 0.7167
5 Ni 0.3572 0.3572 0.3572
6 Ni 0.8577 0.8577 0.8577
7 P 0.1070 0.4004 0.8139
8 P 0.3154 0.9014 0.6085
9 P 0.4004 0.8139 0.1070
10 P 0.6085 0.3154 0.9014
11 P 0.8139 0.1070 0.4004
12 P 0.9014 0.6085 0.3154
13 O 0.0394 0.2398 0.8583
14 O 0.1023 0.4460 0.2940
15 O 0.1153 0.9183 0.7717
16 O 0.1773 0.3558 0.9736
17 O 0.2398 0.8583 0.0394
18 O 0.2640 0.4123 0.6163
19 O 0.2940 0.1023 0.4460
20 O 0.3514 0.7468 0.5419
21 O 0.3558 0.9736 0.1773
22 O 0.4123 0.6163 0.2640
23 O 0.4460 0.2940 0.1023
24 O 0.4709 0.8677 0.6726
25 O 0.5419 0.3514 0.7468
26 O 0.5979 0.8051 0.9480
27 O 0.6163 0.2640 0.4123
28 O 0.6726 0.4709 0.8677
29 O 0.7468 0.5419 0.3514
30 O 0.7717 0.1153 0.9183
31 O 0.8051 0.9480 0.5979
32 O 0.8583 0.0394 0.2398
33 O 0.8677 0.6726 0.4709
34 O 0.9183 0.7717 0.1153
35 O 0.9480 0.5979 0.8051
36 O 0.9736 0.1773 0.3558

Results
Formation enthalpy at 0 K (eV/atom): -2.5018
Uncorrected energy (eV/atom): -7.253
Energy with MP2020 corrections (eV/atom): -8.049



Computed, not measured: crystalline Sr2Pr2CrNiO8 at its relaxed geometry at the PBE with a Hubbard U level of DFT.

abc: 5.4685 6.8682 6.8682
angles: 46.63 90.00 90.00
Fractional positions:
1 Sr 0.0000 0.0000 0.0000
2 Sr 0.5000 0.2091 0.2091
3 Pr 0.0000 0.7164 0.7164
4 Pr 0.5000 0.4930 0.4930
5 Cr 0.0000 0.3526 0.3526
6 Ni 0.5000 0.8564 0.8564
7 O 0.0000 0.1947 0.1947
8 O 0.0000 0.5266 0.5266
9 O 0.2414 0.1096 0.5981
10 O 0.2414 0.5981 0.1096
11 O 0.5000 0.0203 0.0203
12 O 0.5000 0.6763 0.6763
13 O 0.7586 0.1096 0.5981
14 O 0.7586 0.5981 0.1096

Results
Formation enthalpy at 0 K (eV/atom): -2.8753
Uncorrected energy (eV/atom): -7.013
Energy with MP2020 corrections (eV/atom): -7.729



Computed, not measured: crystalline Sr3Pr7Cr9NiO30 at its relaxed geometry at the PBE with a Hubbard U level of DFT.

abc: 5.5161 5.5629 39.1535
angles: 90.04 90.12 90.30
Fractional positions:
1 Sr 0.0000 0.0000 0.0000
2 Sr 0.9999 0.0026 0.2005
3 Sr 0.0012 0.0000 0.8007
4 Sr 0.0008 0.0034 0.4001
5 Sr 0.5023 0.4505 0.9002
6 Sr 0.9989 0.0036 0.6003
7 Pr 0.0132 0.9328 0.2995
8 Pr 0.0147 0.9320 0.4991
9 Pr 0.0154 0.9326 0.0991
10 Pr 0.0153 0.9349 0.9002
11 Pr 0.0159 0.9320 0.6989
12 Pr 0.4984 0.4336 0.2993
13 Pr 0.4988 0.4338 0.4991
14 Pr 0.5002 0.4373 0.6992
15 Pr 0.5005 0.4383 0.0990
16 Pr 0.5151 0.5133 0.0000
17 Pr 0.5161 0.5136 0.6004
18 Pr 0.5155 0.5144 0.8008
19 Pr 0.5160 0.5176 0.2005
20 Pr 0.5167 0.5175 0.4003
21 Cr 0.0039 0.4721 0.2499
22 Cr 0.0036 0.4719 0.4497
23 Cr 0.0049 0.4709 0.0496
24 Cr 0.0054 0.4713 0.3501
25 Cr 0.0051 0.4720 0.1501
26 Cr 0.0048 0.4716 0.7502
27 Cr 0.0055 0.4712 0.6495
28 Cr 0.0068 0.4711 0.5499
29 Cr 0.0067 0.4708 0.8503
30 Cr 0.0077 0.4709 0.9501
31 Cr 0.5057 0.9774 0.9500
32 Cr 0.5062 0.9776 0.8503
33 Cr 0.5073 0.9755 0.0497
34 Cr 0.5067 0.9747 0.6495
35 Cr 0.5068 0.9769 0.1503
36 Cr 0.5076 0.9753 0.3501
37 Cr 0.5081 0.9759 0.7502
38 Cr 0.5096 0.9750 0.5498
39 Ni 0.5062 0.9750 0.2498
40 Ni 0.5060 0.9749 0.4495
41 O 0.0811 0.4647 0.8007
42 O 0.0841 0.4651 0.9997
43 O 0.0863 0.4658 0.2003
44 O 0.0879 0.4645 0.4001
45 O 0.0876 0.4649 0.5994
46 O 0.2117 0.1997 0.2587
47 O 0.2117 0.1995 0.4585
48 O 0.2140 0.1910 0.8571
49 O 0.2226 0.1891 0.6591
50 O 0.2232 0.1900 0.0591
51 O 0.2253 0.1902 0.3404
52 O 0.2256 0.1851 0.9419
53 O 0.2273 0.1907 0.1407
54 O 0.2281 0.1885 0.7410
55 O 0.2286 0.1887 0.5403
56 O 0.2757 0.6966 0.8565
57 O 0.2803 0.6813 0.4580
58 O 0.2806 0.6819 0.2582
59 O 0.2850 0.7035 0.9430
60 O 0.2893 0.6911 0.0587
61 O 0.2907 0.6898 0.6586
62 O 0.2921 0.6939 0.7416
63 O 0.2933 0.6944 0.5407
64 O 0.2938 0.6957 0.3411
65 O 0.2936 0.6967 0.1414
66 O 0.4431 0.9539 0.5983
67 O 0.4465 0.9535 0.9990
68 O 0.4469 0.9537 0.7989
69 O 0.4475 0.9521 0.1978
70 O 0.4479 0.9535 0.3975
71 O 0.5798 0.9918 0.3019
72 O 0.5807 0.9845 0.9005
73 O 0.5815 0.9914 0.1009
74 O 0.5809 0.9928 0.5016
75 O 0.5835 0.9931 0.7007
76 O 0.7065 0.2623 0.1569
77 O 0.7069 0.2623 0.3569
78 O 0.7079 0.2631 0.5566
79 O 0.7078 0.2638 0.7570
80 O 0.7091 0.2687 0.0431
81 O 0.7097 0.2679 0.6426
82 O 0.7137 0.2557 0.9570
83 O 0.7229 0.2732 0.2434
84 O 0.7232 0.2736 0.4429
85 O 0.7253 0.2631 0.8421
86 O 0.7752 0.7516 0.9562
87 O 0.7789 0.7553 0.7566
88 O 0.7801 0.7557 0.5564
89 O 0.7807 0.7546 0.1569
90 O 0.7841 0.7463 0.8434
91 O 0.7836 0.7541 0.3568
92 O 0.7856 0.7546 0.0439
93 O 0.7861 0.7549 0.6433
94 O 0.7967 0.7443 0.2442
95 O 0.7977 0.7456 0.4438
96 O 0.9294 0.4892 0.4997
97 O 0.9297 0.4881 0.3001
98 O 0.9324 0.4876 0.1003
99 O 0.9318 0.4884 0.7002
100 O 0.9501 0.4913 0.8987

Results
Formation enthalpy at 0 K (eV/atom): -2.8726
Uncorrected energy (eV/atom): -7.642
Energy with MP2020 corrections (eV/atom): -8.465